Here is a relaxed structure of Si2Ni from the Materials Project database. Energies are from r²SCAN.

Structure (POSCAR):
```
Si2Ni
1.0
3.298 0.000 1.904
1.099 3.110 1.904
0.000 0.000 3.809
Si Ni
2 1
Direct
0.750 0.750 0.750
0.250 0.250 0.250
0.000 0.000 0.000
```

## Properties
raw total energy = -0.3744 Ha/atom
V = 39 Å³ per cell

=====

Here is a relaxed structure of TbSiNi from the Materials Project database. Energies are from r²SCAN.

Structure (POSCAR):
```
TbSiNi
1.0
4.154 0.000 0.000
0.000 6.901 0.000
0.000 0.000 7.122
Tb Si Ni
4 4 4
Direct
0.250 0.490 0.201
0.750 0.510 0.799
0.750 0.010 0.701
0.250 0.990 0.299
0.250 0.810 0.911
0.750 0.190 0.089
0.750 0.690 0.411
0.250 0.310 0.589
0.250 0.684 0.581
0.750 0.316 0.419
0.750 0.816 0.081
0.250 0.184 0.919
```

## Properties
raw total energy = -0.6672 Ha/atom
V = 204 Å³ per cell

=====

Here is a relaxed structure of ThSi2Ni2 from the Materials Project database. Energies are from r²SCAN.

Structure (POSCAR):
```
ThSi2Ni2
1.0
-1.114 -2.844 -2.698
2.924 1.265 -2.541
2.134 -2.273 4.593
Th Si Ni
1 2 2
Direct
0.000 0.000 0.000
0.631 0.631 0.262
0.369 0.369 0.738
0.750 0.250 0.500
0.250 0.750 0.500
```

## Properties
raw total energy = -0.8766 Ha/atom
V = 79 Å³ per cell